Entry 1:
Material: AsS
Method: DFT, PBE
State: relaxed

Values from the calculation:
Electronic total energy, eV/cell: -100.644
Volume, Å³ per atom: 21.601
DFT formation energy, eV per atom: -0.047

Lattice parameters (Å, degrees): 13.5032 5.4878 6.9959 90.00 90.00 90.00
Space group Cmc2_1 (No. 36)
Symmetry-distinct sites (fractional):
1 As 0.0000 0.0614 0.0000 x4
2 As 0.1479 0.4628 0.5027 x8
3 S 0.0000 0.3626 0.3412 x4
4 S 0.1381 0.1131 0.6799 x8

***

Entry 2:
Material: Ta2Pt3Se8
Method: DFT, PBE
State: relaxed

Values from the calculation:
Electronic total energy, eV/cell: -156.280
Volume, Å³ per atom: 24.087
DFT formation energy, eV per atom: -0.925

Lattice parameters (Å, degrees): 11.2090 15.4441 3.6176 90.00 90.00 90.00
Space group Pbam (No. 55)
Symmetry-distinct sites (fractional):
1 Ta 0.1946 0.1262 0.0000 x4
2 Pt 0.0000 0.0000 0.5000 x2
3 Pt 0.1510 0.7245 0.5000 x4
4 Se 0.0262 0.1586 0.5000 x4
5 Se 0.0740 0.6279 0.0000 x4
6 Se 0.2203 0.0028 0.5000 x4
7 Se 0.2270 0.2924 0.0000 x4

***

Entry 3:
Material: ErCu3S3
Method: DFT, PBE
State: relaxed

Values from the calculation:
Electronic total energy, eV/cell: -211.311
Volume, Å³ per atom: 17.354
DFT formation energy, eV per atom: -1.065

Lattice parameters (Å, degrees): 6.6641 6.6641 18.9515 90.00 90.00 120.00
Space group R-3 (No. 148, hexagonal axes)
Symmetry-distinct sites (fractional):
1 Er 0.0000 0.0000 0.1665 x6
2 Cu 0.0000 0.3371 0.3767 x18
3 S 0.0002 0.3325 0.2494 x18

***

Entry 4:
Material: In2O3
Method: DFT, PBE
State: relaxed

Values from the calculation:
Electronic total energy, eV/cell: -112.096
Volume, Å³ per atom: 12.859
DFT formation energy, eV per atom: -1.948

Lattice parameters (Å, degrees): 8.0827 5.5937 5.6884 90.00 90.00 90.00
Space group Pbcn (No. 60)
Symmetry-distinct sites (fractional):
1 In 0.1149 0.2475 0.0286 x8
2 O 0.0000 0.0427 0.7500 x4
3 O 0.1503 0.3901 0.3954 x8

***

Entry 5:
Material: CeNbO2
Method: DFT, PBE
State: relaxed

Values from the calculation:
Electronic total energy, eV/cell: -275.078
Volume, Å³ per atom: 14.525
DFT formation energy, eV per atom: -2.457

Lattice parameters (Å, degrees): 6.2641 6.2641 11.8456 90.00 90.00 90.00
Space group I4_1/amd (No. 141, origin choice 2)
Symmetry-distinct sites (fractional):
1 Ce 0.0000 0.0000 0.0000 x8
2 Nb 0.0000 0.0000 0.5000 x8
3 O 0.0000 0.0278 0.1975 x16

***

Entry 6:
Material: Ho7Rh3
Method: DFT, PBE
State: relaxed

Values from the calculation:
Electronic total energy, eV/cell: -120.965
Volume, Å³ per atom: 25.515
DFT formation energy, eV per atom: -0.631

Lattice parameters (Å, degrees): 9.7783 9.7783 6.1626 90.00 90.00 120.00
Space group P6_3mc (No. 186)
Symmetry-distinct sites (fractional):
1 Ho 0.0808 0.5404 0.0000 x6
2 Ho 0.1244 0.2487 0.3045 x6
3 Ho 0.3333 0.6667 0.5054 x2
4 Rh 0.1904 0.3807 0.7331 x6

***

Entry 7:
Material: TeAuBr8
Method: DFT, PBE
State: relaxed

Values from the calculation:
Electronic total energy, eV/cell: -44.207
Volume, Å³ per atom: 39.298
DFT formation energy, eV per atom: -0.686

Lattice parameters (Å, degrees): 8.2887 9.3351 10.8830 86.91 70.43 82.16
Space group P-1 (No. 2)
Symmetry-distinct sites (fractional):
1 Te 0.1233 0.2510 0.2248 x2
2 Au 0.4941 0.8920 0.1860 x2
3 Br 0.0888 0.8067 0.5552 x2
4 Br 0.1059 0.6893 0.8834 x2
5 Br 0.1478 0.5073 0.2791 x2
6 Br 0.2119 0.9305 0.1452 x2
7 Br 0.2419 0.1649 0.7557 x2
8 Br 0.4149 0.1084 0.3270 x2
9 Br 0.4160 0.3176 0.9642 x2
10 Br 0.4264 0.4079 0.5666 x2

***

Entry 8:
Material: GdCuSb2
Method: DFT, PBE
State: relaxed

Values from the calculation:
Electronic total energy, eV/cell: -58.037
Volume, Å³ per atom: 23.280
DFT formation energy, eV per atom: -0.742

Lattice parameters (Å, degrees): 4.3502 4.3502 9.8411 90.00 90.00 90.00
Space group P4/nmm (No. 129, origin choice 2)
Symmetry-distinct sites (fractional):
1 Gd 0.2500 0.2500 0.2472 x2
2 Cu 0.2500 0.7500 0.0000 x2
3 Sb 0.2500 0.2500 0.8418 x2
4 Sb 0.2500 0.7500 0.5000 x2

***

Entry 9:
Material: BaInGe
Method: DFT, PBE
State: relaxed

Values from the calculation:
Electronic total energy, eV/cell: -10.684
Volume, Å³ per atom: 32.661
DFT formation energy, eV per atom: -0.464

Lattice parameters (Å, degrees): 4.7126 4.7126 5.0944 90.00 90.00 120.00
Space group P3m1 (No. 156)
Symmetry-distinct sites (fractional):
1 Ba 0.0000 0.0000 0.0000 x1
2 In 0.3333 0.6667 0.5288 x1
3 Ge 0.6667 0.3333 0.4510 x1

***

Entry 10:
Material: As4Pd5Pb
Method: DFT, PBE
State: relaxed

Values from the calculation:
Electronic total energy, eV/cell: -102.333
Volume, Å³ per atom: 18.856
DFT formation energy, eV per atom: -0.292

Lattice parameters (Å, degrees): 6.8161 6.8608 9.7398 74.30 89.49 60.43
Space group P1 (No. 1)
Symmetry-distinct sites (fractional):
1 As 0.0000 0.0000 0.0000 x1
2 As 0.0489 0.2428 0.3196 x1
3 As 0.1756 0.6391 0.4174 x1
4 As 0.3545 0.2415 0.8175 x1
5 As 0.4747 0.4012 0.1093 x1
6 As 0.6512 0.9936 0.4987 x1
7 As 0.7685 0.4039 0.6072 x1
8 As 0.8283 0.6389 0.9199 x1
9 Pd 0.0715 0.6068 0.1756 x1
10 Pd 0.1671 0.2327 0.0615 x1
11 Pd 0.2483 0.2319 0.5610 x1
12 Pd 0.4055 0.8273 0.4600 x1
13 Pd 0.4128 0.8230 0.9574 x1
14 Pd 0.5861 0.3999 0.3673 x1
15 Pd 0.6494 0.4018 0.8644 x1
16 Pd 0.7372 0.0411 0.7383 x1
17 Pd 0.8703 0.0368 0.2382 x1
18 Pd 0.9666 0.5970 0.6780 x1
19 Pb 0.2243 0.8199 0.7116 x1
20 Pb 0.6001 0.8214 0.2105 x1